1.
DFT (PBE) results for a relaxed structure of Sm2ReO5.

Results
- crystal system = tetragonal

Cell: 8.6974 8.6974 5.8276 Å, 90.00 90.00 90.00°
With the nearest neighbours (Å) after each atom.
Sites, in units of the cell vectors:
O 0.5000 0.5000 0.0000  4 Sm 2.31
O 0.5925 0.1999 0.9019  1 Re 1.94
O 0.9075 0.3001 0.0981  1 Re 1.94
O 0.6999 0.9075 0.9019  1 Re 1.94
O 0.3001 0.0925 0.9019  1 Re 1.94
O 0.0904 0.2999 0.6009  1 Re 1.94
O 0.0925 0.6999 0.0981  1 Re 1.94
O 0.0000 0.0000 0.0000  4 Sm 2.31
O 0.0000 0.0000 0.5000  4 Sm 2.31
O 0.5904 0.7999 0.3991  1 Re 1.94
O 0.7999 0.4096 0.6009  1 Re 1.94
O 0.4096 0.2001 0.3991  1 Re 1.94
O 0.4075 0.8001 0.9019  1 Re 1.94
O 0.2999 0.9096 0.3991  1 Re 1.94
O 0.8001 0.5925 0.0981  1 Re 1.94
O 0.5000 0.5000 0.5000  4 Sm 2.31
O 0.7001 0.0904 0.3991  1 Re 1.94
O 0.9096 0.7001 0.6009  1 Re 1.94
O 0.2001 0.5904 0.6009  1 Re 1.94
O 0.1999 0.4075 0.0981  1 Re 1.94
Sm 0.3583 0.6505 0.2498  7 O 2.31-2.55
Sm 0.3495 0.3583 0.7502  7 O 2.31-2.55
Sm 0.1417 0.8495 0.7502  7 O 2.31-2.55
Sm 0.6417 0.3495 0.2498  7 O 2.31-2.55
Sm 0.8495 0.8583 0.2498  7 O 2.31-2.55
Sm 0.1505 0.1417 0.2498  7 O 2.31-2.55
Sm 0.6505 0.6417 0.7502  7 O 2.31-2.55
Sm 0.8583 0.1505 0.7502  7 O 2.31-2.55
Re 0.5000 0.0000 0.4598  4 O 1.94
Re 0.5000 0.0000 0.8494  4 O 1.94
Re 0.0000 0.5000 0.1506  4 O 1.94
Re 0.0000 0.5000 0.5402  4 O 1.94


2.
DFT (PBE) results for a relaxed structure of Sm3Re2O9.

Results
- crystal system = triclinic

Cell: 5.5611 6.8813 10.9424 Å, 76.75 75.48 68.72°
With the nearest neighbours (Å) after each atom.
Sites, in units of the cell vectors:
O 0.3946 0.1671 0.0728  1 Re 1.95
O 0.8132 0.5069 0.7980  1 Re 1.92
O 0.2902 0.4222 0.5766  1 Re 1.96
O 0.4037 0.8103 0.5983  2 Re 2.04-2.06
O 0.6587 0.5272 0.1812  1 Re 1.95
O 0.3413 0.4728 0.8188  1 Re 1.95
O 0.5963 0.1897 0.4017  2 Re 2.04-2.06
O 0.0720 0.2079 0.4744  1 Re 1.89
O 0.6054 0.8329 0.9272  1 Re 1.95
O 0.5865 0.0766 0.6881  1 Re 2.00
O 0.7098 0.5778 0.4234  1 Re 1.96
O 0.9280 0.7921 0.5256  1 Re 1.89
O 0.1280 0.8124 0.9402  1 Re 1.94
O 0.9424 0.8832 0.2790  1 Re 2.02
O 0.0576 0.1168 0.7210  1 Re 2.02
O 0.8720 0.1876 0.0598  1 Re 1.94
O 0.4135 0.9234 0.3119  1 Re 2.00
O 0.1868 0.4931 0.2020  1 Re 1.92
Sm 0.7000 0.3947 0.6303  7 O 2.32-2.49
Sm 0.0135 0.2099 0.2690  7 O 2.35-2.60
Sm 0.3000 0.6053 0.3697  7 O 2.32-2.49
Sm 0.7667 0.8477 0.1157  7 O 2.33-2.53
Sm 0.9865 0.7901 0.7310  7 O 2.35-2.60
Sm 0.2333 0.1523 0.8843  7 O 2.33-2.53
Re 0.3455 0.1269 0.5677  6 O 1.89-2.06
Re 0.6545 0.8731 0.4323  6 O 1.89-2.06
Re 0.5200 0.3867 0.0933  4 O 1.92-1.95
Re 0.4800 0.6133 0.9067  4 O 1.92-1.95


3.
DFT (PBE) results for a relaxed structure of SmRe3O15.

Results
- crystal system = orthorhombic

Cell: 8.7419 11.6185 14.7900 Å, 90.00 90.00 90.00°
With the nearest neighbours (Å) after each atom.
Sites, in units of the cell vectors:
O 0.2592 0.3109 0.5242  1 Re 1.79
O 0.7264 0.9943 0.6093  1 Re 1.73
O 0.7736 0.9943 0.1093  1 Re 1.73
O 0.5478 0.5290 0.5709  1 Re 1.73
O 0.4642 0.3606 0.7026  1 Re 1.78
O 0.4522 0.0290 0.4291  1 Re 1.73
O 0.2235 0.8964 0.3458  1 Re 1.73
O 0.2765 0.8964 0.8458  1 Re 1.73
O 0.2463 0.2632 0.3318  1 Re 1.77
O 0.7537 0.7632 0.6682  1 Re 1.77
O 0.2467 0.0512 0.5683  1 Sm 2.53, 3 O 2.74-2.82
O 0.4939 0.7094 0.8823  1 Sm 2.54, 2 O 2.71-2.75
O 0.7765 0.3964 0.6542  1 Re 1.73
O 0.9598 0.6006 0.7587  1 Re 1.78
O 0.4930 0.6931 0.4202  1 Sm 2.52, 4 O 2.65-2.82
O 0.7408 0.8109 0.4758  1 Re 1.79
O 0.0478 0.0290 0.9291  1 Re 1.73
O 0.0413 0.5838 0.5716  1 Re 1.73
O 0.9522 0.5290 0.0709  1 Re 1.73
O 0.2408 0.3109 0.0242  1 Re 1.79
O 0.0061 0.7094 0.3823  1 Sm 2.54, 2 O 2.71-2.75
O 0.2718 0.6230 0.6990  1 Re 1.73
O 0.2736 0.4943 0.3907  1 Re 1.73
O 0.0041 0.8762 0.5832  1 Re 1.73
O 0.7533 0.5512 0.4317  1 Sm 2.53, 3 O 2.74-2.82
O 0.7235 0.3964 0.1542  1 Re 1.73
O 0.6268 0.5693 0.7583  1 Re 1.78
O 0.5402 0.6006 0.2587  1 Re 1.78
O 0.5358 0.8606 0.2974  1 Re 1.78
O 0.0070 0.6931 0.9202  1 Sm 2.52, 4 O 2.65-2.82
O 0.4959 0.8762 0.0832  1 Re 1.73
O 0.2264 0.4943 0.8907  1 Re 1.73
O 0.1268 0.0693 0.7417  1 Re 1.78
O 0.9959 0.3762 0.4168  1 Re 1.73
O 0.2282 0.6230 0.1990  1 Re 1.73
O 0.8732 0.5693 0.2583  1 Re 1.78
O 0.5061 0.2094 0.1177  1 Sm 2.54, 2 O 2.71-2.75
O 0.2537 0.2632 0.8318  1 Re 1.77
O 0.7467 0.5512 0.9317  1 Sm 2.53, 3 O 2.74-2.82
O 0.5070 0.1931 0.5798  1 Sm 2.52, 4 O 2.65-2.82
O 0.3671 0.4011 0.1887  1 Re 1.78
O 0.9939 0.2094 0.6177  1 Sm 2.54, 2 O 2.71-2.75
O 0.5413 0.0838 0.9284  1 Re 1.73
O 0.7463 0.7632 0.1682  1 Re 1.77
O 0.2533 0.0512 0.0683  1 Sm 2.53, 3 O 2.74-2.82
O 0.3732 0.0693 0.2417  1 Re 1.78
O 0.5041 0.3762 0.9168  1 Re 1.73
O 0.6329 0.9011 0.8113  1 Re 1.78
O 0.7718 0.1230 0.8010  1 Re 1.73
O 0.0358 0.3606 0.2026  1 Re 1.78
O 0.9587 0.0838 0.4284  1 Re 1.73
O 0.8671 0.9011 0.3113  1 Re 1.78
O 0.4587 0.5838 0.0716  1 Re 1.73
O 0.0402 0.1006 0.2413  1 Re 1.78
O 0.9930 0.1931 0.0798  1 Sm 2.52, 4 O 2.65-2.82
O 0.9642 0.8606 0.7974  1 Re 1.78
O 0.1329 0.4011 0.6887  1 Re 1.78
O 0.4598 0.1006 0.7413  1 Re 1.78
O 0.7592 0.8109 0.9758  1 Re 1.79
O 0.7282 0.1230 0.3010  1 Re 1.73
Re 0.8966 0.4649 0.1716  4 O 1.73-1.78
Re 0.8068 0.8620 0.5832  4 O 1.73-1.79
Re 0.3966 0.9649 0.3284  4 O 1.73-1.78
Re 0.6034 0.4649 0.6716  4 O 1.73-1.78
Re 0.1034 0.9649 0.8284  4 O 1.73-1.78
Re 0.8993 0.0517 0.3195  4 O 1.73-1.78
Re 0.3993 0.5517 0.1805  4 O 1.73-1.78
Re 0.6007 0.0517 0.8195  4 O 1.73-1.78
Re 0.3068 0.3620 0.9168  4 O 1.73-1.79
Re 0.1007 0.5517 0.6805  4 O 1.73-1.78
Re 0.1932 0.3620 0.4168  4 O 1.73-1.79
Re 0.6932 0.8620 0.0832  4 O 1.73-1.79
Sm 0.2312 0.2232 0.1725  9 O 2.38-2.54
Sm 0.7312 0.7232 0.3275  9 O 2.38-2.54
Sm 0.7688 0.7232 0.8275  9 O 2.38-2.54
Sm 0.2688 0.2232 0.6725  9 O 2.38-2.54


4.
DFT (PBE) results for a relaxed structure of SmRe3O16.

Results
- crystal system = orthorhombic

Cell: 8.7279 14.7151 11.5579 Å, 90.00 90.00 90.00°
With the nearest neighbours (Å) after each atom.
Sites, in units of the cell vectors:
O 0.7267 0.1090 0.8701  1 Re 1.73
O 0.7268 0.8023 0.9999  1 Re 1.74
O 0.8673 0.8109 0.7763  1 Re 1.77
O 0.2511 0.5682 0.9251  1 Sm 2.51, 2 O 2.71-2.78
O 0.2732 0.1977 0.4999  1 Re 1.74
O 0.4939 0.5837 0.7509  1 Re 1.73
O 0.4593 0.5706 0.4590  1 Re 1.73
O 0.4605 0.2413 0.9756  1 Re 1.78
O 0.0868 0.5811 0.6776  2 O 2.72-2.94
O 0.9942 0.1173 0.0833  1 Sm 2.53, 2 O 2.70-2.75
O 0.2479 0.8324 0.1373  1 Re 1.77
O 0.4942 0.3827 0.5833  1 Sm 2.53, 2 O 2.70-2.75
O 0.9605 0.2587 0.4756  1 Re 1.78
O 0.2778 0.3464 0.7709  1 Re 1.73
O 0.9939 0.9163 0.2509  1 Re 1.73
O 0.9132 0.4189 0.1776  2 O 2.72-2.94
O 0.2436 0.5249 0.1872  1 Re 1.78
O 0.4649 0.2024 0.2344  1 Re 1.78
O 0.6327 0.3109 0.7763  1 Re 1.77
O 0.7732 0.3023 0.9999  1 Re 1.74
O 0.7479 0.6676 0.6373  1 Re 1.77
O 0.1327 0.1891 0.2763  1 Re 1.77
O 0.5407 0.4294 0.9590  1 Re 1.73
O 0.0351 0.7024 0.2344  1 Re 1.78
O 0.0395 0.7413 0.9756  1 Re 1.78
O 0.0481 0.4301 0.9038  1 Re 1.74
O 0.6260 0.2583 0.4440  1 Re 1.78
O 0.5395 0.7587 0.4756  1 Re 1.78
O 0.0058 0.8827 0.5833  1 Sm 2.53, 2 O 2.70-2.75
O 0.3740 0.7417 0.9440  1 Re 1.78
O 0.7436 0.9751 0.6872  1 Re 1.78
O 0.5868 0.9189 0.1776  2 O 2.72-2.94
O 0.1260 0.2417 0.9440  1 Re 1.78
O 0.2521 0.3324 0.1373  1 Re 1.77
O 0.4873 0.9232 0.5694  1 Sm 2.56, 5 O 2.69-2.85
O 0.5127 0.0768 0.0694  1 Sm 2.56, 5 O 2.69-2.85
O 0.7511 0.9318 0.4251  1 Sm 2.51, 2 O 2.71-2.78
O 0.2268 0.6977 0.4999  1 Re 1.74
O 0.4519 0.9301 0.9038  1 Re 1.74
O 0.7222 0.6536 0.2709  1 Re 1.73
O 0.3673 0.6891 0.2763  1 Re 1.77
O 0.7778 0.1536 0.2709  1 Re 1.73
O 0.8740 0.7583 0.4440  1 Re 1.78
O 0.9593 0.9294 0.9590  1 Re 1.73
O 0.9519 0.5699 0.4038  1 Re 1.74
O 0.0127 0.4232 0.5694  1 Sm 2.56, 5 O 2.69-2.85
O 0.9649 0.2976 0.7344  1 Re 1.78
O 0.5058 0.6173 0.0833  1 Sm 2.53, 2 O 2.70-2.75
O 0.2267 0.3910 0.3701  1 Re 1.73
O 0.7489 0.4318 0.4251  1 Sm 2.51, 2 O 2.71-2.78
O 0.2222 0.8464 0.7709  1 Re 1.73
O 0.7564 0.4751 0.6872  1 Re 1.78
O 0.5351 0.7976 0.7344  1 Re 1.78
O 0.4132 0.0811 0.6776  2 O 2.72-2.94
O 0.0061 0.0837 0.7509  1 Re 1.73
O 0.0407 0.0706 0.4590  1 Re 1.73
O 0.2564 0.0249 0.1872  1 Re 1.78
O 0.9873 0.5768 0.0694  1 Sm 2.56, 5 O 2.69-2.85
O 0.2489 0.0682 0.9251  1 Sm 2.51, 2 O 2.71-2.78
O 0.5061 0.4163 0.2509  1 Re 1.73
O 0.2733 0.8910 0.3701  1 Re 1.73
O 0.5481 0.0699 0.4038  1 Re 1.74
O 0.7733 0.6090 0.8701  1 Re 1.73
O 0.7521 0.1676 0.6373  1 Re 1.77
Re 0.6042 0.1710 0.3392  4 O 1.73-1.78
Re 0.3958 0.8290 0.8392  4 O 1.73-1.78
Re 0.8958 0.6710 0.3392  4 O 1.73-1.78
Re 0.6915 0.5831 0.7375  4 O 1.73-1.78
Re 0.1042 0.3290 0.8392  4 O 1.73-1.78
Re 0.8986 0.8200 0.9275  4 O 1.73-1.78
Re 0.1014 0.1800 0.4275  4 O 1.73-1.78
Re 0.3986 0.6800 0.4275  4 O 1.73-1.78
Re 0.8085 0.0831 0.7375  4 O 1.73-1.78
Re 0.1915 0.9169 0.2375  4 O 1.73-1.78
Re 0.6014 0.3200 0.9275  4 O 1.73-1.78
Re 0.3085 0.4169 0.2375  4 O 1.73-1.78
Sm 0.7311 0.8284 0.5970  9 O 2.38-2.56
Sm 0.2311 0.6716 0.0970  9 O 2.38-2.56
Sm 0.7689 0.3284 0.5970  9 O 2.38-2.56
Sm 0.2689 0.1716 0.0970  9 O 2.38-2.56


5.
DFT (PBE) results for a relaxed structure of ReTcSn2O6.

Results
- crystal system = cubic

Cell: 5.6613 5.6613 5.6613 Å, 60.00 60.00 60.00°
With the nearest neighbours (Å) after each atom.
Sites, in units of the cell vectors:
O 0.2542 0.7458 0.2542  1 Re 1.97, 1 Tc 2.03
O 0.7458 0.2542 0.2542  1 Re 1.97, 1 Tc 2.03
O 0.7458 0.7458 0.2542  1 Re 1.97, 1 Tc 2.03
O 0.7458 0.2542 0.7458  1 Re 1.97, 1 Tc 2.03
O 0.2542 0.2542 0.7458  1 Re 1.97, 1 Tc 2.03
O 0.2542 0.7458 0.7458  1 Re 1.97, 1 Tc 2.03
Sn 0.7500 0.7500 0.7500  12 O 2.83
Sn 0.2500 0.2500 0.2500  12 O 2.83
Re 0.5000 0.5000 0.5000  6 O 1.97
Tc 0.0000 0.0000 0.0000  6 O 2.03


6.
DFT (PBE) results for a relaxed structure of Sr7Re4O19.

Results
- crystal system = monoclinic

Cell: 7.4756 7.4756 10.5141 Å, 82.00 82.00 44.31°
With the nearest neighbours (Å) after each atom.
Sites, in units of the cell vectors:
Sr 0.1415 0.1415 0.0425  6 O 2.55-2.68
Sr 0.5838 0.5838 0.8354  6 O 2.51-2.67
Sr 0.7892 0.7892 0.5872  10 O 2.63-2.92
Sr 0.4162 0.4162 0.1646  6 O 2.51-2.67
Sr 0.5000 0.5000 0.5000  12 O 2.73-2.82
Sr 0.2108 0.2108 0.4128  10 O 2.63-2.92
Sr 0.8585 0.8585 0.9575  6 O 2.55-2.68
Re 0.3308 0.3308 0.7802  6 O 1.85-2.02
Re 0.9669 0.9669 0.3228  6 O 1.89-1.99
Re 0.6692 0.6692 0.2198  6 O 1.85-2.02
Re 0.0331 0.0331 0.6772  6 O 1.89-1.99
O 0.1214 0.6304 0.3732  1 Re 1.89
O 0.9553 0.9553 0.1457  1 Re 1.89
O 0.3039 0.3039 0.6134  1 Re 1.85
O 0.3164 0.8253 0.2847  2 Re 1.99-2.02
O 0.0041 0.4832 0.8463  1 Re 1.87
O 0.3982 0.3982 0.9304  1 Re 1.95
O 0.0000 0.0000 0.5000  2 Re 1.98
O 0.4832 0.0041 0.8463  1 Re 1.87
O 0.6304 0.1214 0.3732  1 Re 1.89
O 0.6961 0.6961 0.3866  1 Re 1.85
O 0.8253 0.3164 0.2847  2 Re 1.99-2.02
O 0.9959 0.5168 0.1537  1 Re 1.87
O 0.3696 0.8786 0.6268  1 Re 1.89
O 0.1747 0.6836 0.7153  2 Re 1.99-2.02
O 0.5168 0.9959 0.1537  1 Re 1.87
O 0.6836 0.1747 0.7153  2 Re 1.99-2.02
O 0.8786 0.3696 0.6268  1 Re 1.89
O 0.0447 0.0447 0.8543  1 Re 1.89
O 0.6018 0.6018 0.0696  1 Re 1.95


no.,DFT total energy (eV per atom),V (Å³/atom)
1,-8.603,13.8
2,-8.568,13.3
3,-7.335,19.8
4,-7.074,18.6
5,-7.134,12.8
6,-7.506,13.5